[1]
Material: CaAl2F10
Method: DFT, PBE
State: relaxed

volume: 14.691 Å³/atom
space group: C2, No. 5
total energy: -67.2 eV for the cell shown

Unit cell a=5.5516 b=5.5516 c=7.2642 alpha=69.15 beta=69.15 gamma=71.72
Sites, in units of the cell vectors:
F  0.8025  0.7503  0.8779
F  0.7526  0.2766  0.7038
Ca  0.5399  0.4601  0.0000
F  0.7234  0.2474  0.2962
Al  0.0306  0.9835  0.2482
F  0.2427  0.6865  0.2181
F  0.9440  0.0560  0.0000
F  0.0629  0.9371  0.5000
Al  0.0165  0.9694  0.7518
F  0.3135  0.7573  0.7819
F  0.1443  0.2786  0.6273
F  0.7214  0.8557  0.3727
F  0.2497  0.1975  0.1221

[2]
Material: Na18Ca20Ta4Si3S33O144
Method: DFT, PBE
State: relaxed

volume: 15.738 Å³/atom
space group: P1, No. 1
total energy: -1429.5 eV for the cell shown

Unit cell a=18.4127 b=9.2119 c=23.7517 alpha=90.01 beta=90.46 gamma=119.86
Sites, in units of the cell vectors:
O  0.0916  0.1636  0.4164
O  0.6685  0.8898  0.8601
O  0.7706  0.6503  0.8654
Si  0.1650  0.3558  0.4156
O  0.7440  0.1391  0.9165
Ca  0.0008  0.9931  0.1476
Ta  0.3281  0.3224  0.9801
O  0.7220  0.3409  0.1393
O  0.4899  0.1922  0.2997
O  0.2594  0.8258  0.7645
Na  0.8266  0.3256  0.8363
O  0.8383  0.5194  0.5318
O  0.9916  0.1963  0.2991
S  0.4997  0.2946  0.2495
O  0.3359  0.5161  0.5314
S  0.4764  0.6237  0.0762
O  0.0245  0.8023  0.7052
O  0.2383  0.3439  0.7498
O  0.1830  0.4815  0.0742
O  0.8306  0.5355  0.6333
Na  0.6816  0.3640  0.2618
O  0.7632  0.6916  0.2521
O  0.8310  0.1085  0.1398
O  0.2335  0.3378  0.1319
Na  0.5136  0.0326  0.4931
O  0.3765  0.9601  0.7020
O  0.5068  0.2111  0.1982
O  0.3946  0.7938  0.9085
O  0.4354  0.3355  0.6341
O  0.4923  0.1895  0.9171
S  0.3349  0.6226  0.5813
S  0.0006  0.2984  0.2489
O  0.6688  0.4841  0.0828
O  0.4239  0.3290  0.5321
O  0.0767  0.4685  0.2540
O  0.1848  0.8589  0.8632
Ca  0.3335  0.3336  0.6854
O  0.9262  0.3300  0.5315
O  0.7547  0.3431  0.4345
O  0.8906  0.9862  0.6986
Na  0.1480  0.6626  0.1685
Na  0.9903  0.6869  0.9264
O  0.5626  0.6841  0.4702
O  0.2424  0.1549  0.5315
Ca  0.8281  0.3255  0.9862
O  0.3355  0.1608  0.0307
S  0.8181  0.9813  0.4198
Ca  0.3394  0.3477  0.1833
O  0.7719  0.8746  0.4665
O  0.9381  0.3393  0.6334
Na  0.5138  0.0132  0.0010
O  0.5392  0.6185  0.3695
O  0.2433  0.3279  0.0294
O  0.9372  0.5288  0.7494
O  0.2717  0.9264  0.3647
Na  0.6655  0.6663  0.1618
S  0.8462  0.9958  0.7488
O  0.4025  0.0038  0.4152
O  0.1083  0.1761  0.0746
O  0.9963  0.8082  0.0806
O  0.2618  0.8835  0.0746
O  0.6637  0.8681  0.9627
Ca  0.9991  0.0056  0.8483
Na  0.1794  0.3609  0.2656
O  0.3293  0.1570  0.4307
O  0.6672  0.8534  0.2535
O  0.1881  0.4471  0.3540
Ca  0.6644  0.6530  0.3298
O  0.2550  0.3433  0.4337
O  0.3296  0.5319  0.6329
Na  0.0130  0.0318  0.4929
O  0.2718  0.8752  0.4658
O  0.2612  0.6439  0.5764
O  0.8371  0.1298  0.0370
S  0.6670  0.9705  0.9142
O  0.5915  0.1641  0.4170
O  0.3306  0.5266  0.2472
O  0.6039  0.9808  0.1968
O  0.2540  0.1514  0.9296
O  0.2558  0.6297  0.8658
S  0.3468  0.7032  0.2497
O  0.1039  0.2533  0.7012
O  0.5988  0.2088  0.6981
O  0.0792  0.5012  0.8641
O  0.0625  0.6843  0.4702
O  0.8336  0.5166  0.9180
O  0.5634  0.4473  0.9699
O  0.4230  0.4928  0.4324
O  0.3893  0.7966  0.1982
O  0.7319  0.1216  0.6357
O  0.8955  0.7816  0.3020
Si  0.1665  0.9616  0.9191
O  0.7372  0.1560  0.2465
O  0.8291  0.1568  0.4317
O  0.4193  0.5162  0.0270
O  0.7321  0.3033  0.7474
O  0.6604  0.4670  0.7513
O  0.6814  0.8808  0.5754
O  0.3258  0.1273  0.7506
Ca  0.4965  0.9979  0.6438
O  0.0113  0.2181  0.1979
S  0.3107  0.6538  0.9176
O  0.9455  0.3938  0.9091
O  0.0876  0.9832  0.9060
O  0.6590  0.4680  0.4646
O  0.8931  0.0084  0.8007
Ca  0.5005  0.9933  0.1462
O  0.0692  0.4549  0.9652
Ca  0.6728  0.6730  0.0161
O  0.5808  0.6959  0.7524
O  0.5916  0.9916  0.9161
S  0.1895  0.0458  0.5813
O  0.9025  0.0044  0.4156
S  0.6521  0.9979  0.2488
Na  0.8358  0.3578  0.3359
O  0.3161  0.4925  0.9226
O  0.7631  0.6466  0.5758
O  0.4133  0.7841  0.5780
Na  0.9980  0.9970  0.0017
S  0.8196  0.6640  0.9165
O  0.9973  0.7769  0.8068
O  0.6079  0.0403  0.5773
Na  0.6645  0.6451  0.6653
Ca  0.1632  0.6520  0.3306
Na  0.3369  0.3471  0.8257
O  0.7772  0.6714  0.9676
O  0.6070  0.2000  0.8004
S  0.5010  0.7030  0.7499
O  0.4391  0.5360  0.1287
O  0.5388  0.4568  0.8689
Ca  0.0019  0.0087  0.6460
O  0.3959  0.7853  0.3005
Ta  0.3299  0.3326  0.4825
S  0.5084  0.6544  0.4218
O  0.2386  0.1570  0.2473
Ca  0.5015  0.0012  0.8516
O  0.9379  0.5417  0.1293
Si  0.6648  0.3565  0.4157
Na  0.3192  0.9995  0.2571
O  0.5063  0.8016  0.6992
O  0.5947  0.1789  0.0832
O  0.4284  0.5299  0.7475
O  0.7447  0.1596  0.5339
Na  0.1650  0.6559  0.6549
O  0.8907  0.7982  0.1999
O  0.3966  0.0115  0.8038
Na  0.3359  0.3575  0.3392
S  0.3184  0.9818  0.4192
O  0.2725  0.6736  0.9677
O  0.9882  0.7889  0.4153
O  0.1080  0.0405  0.5780
Ta  0.1710  0.6786  0.8188
O  0.1591  0.4676  0.4643
S  0.6787  0.3336  0.0853
S  0.3359  0.0491  0.0807
O  0.4785  0.7860  0.0733
O  0.2629  0.6947  0.2517
Ca  0.8352  0.3417  0.1782
Ca  0.8383  0.3412  0.6843
S  0.8341  0.0285  0.0861
Ta  0.8298  0.3329  0.4828
S  0.3448  0.9899  0.7545
Ca  0.1652  0.6682  0.0196
O  0.5604  0.4818  0.5798
O  0.0707  0.6511  0.0854
S  0.6891  0.0456  0.5821
O  0.7596  0.8456  0.7499
O  0.1674  0.8540  0.2532
O  0.3309  0.1276  0.1330
O  0.6095  0.0144  0.2985
O  0.0873  0.6822  0.7659
O  0.5597  0.6429  0.0702
S  0.1530  0.9998  0.2490
O  0.9448  0.5554  0.0264
S  0.4769  0.3315  0.5822
O  0.4225  0.3502  0.9321
S  0.9789  0.3335  0.5814
S  0.5097  0.3629  0.9218
S  0.0080  0.6544  0.4220
O  0.4880  0.7881  0.4152
S  0.8475  0.7008  0.2506
S  0.0235  0.3853  0.9128
O  0.0090  0.2171  0.9038
O  0.6876  0.4456  0.3538
O  0.4938  0.7854  0.8011
O  0.1064  0.9861  0.1968
Na  0.6801  0.9969  0.7513
O  0.8322  0.5253  0.2473
S  0.1523  0.3174  0.7539
Ca  0.6633  0.6539  0.8195
O  0.7268  0.3280  0.0366
S  0.6485  0.2955  0.7490
O  0.9103  0.0113  0.0848
O  0.1105  0.2119  0.8024
O  0.1102  0.0155  0.2987
O  0.1513  0.8428  0.9705
O  0.8339  0.1455  0.7468
Ca  0.0030  0.9996  0.3542
O  0.7576  0.8599  0.0836
O  0.9050  0.8172  0.9153
Ca  0.1657  0.6582  0.5141
O  0.9848  0.1785  0.5786
O  0.1810  0.8796  0.5756
Na  0.8188  0.0000  0.2493
O  0.9230  0.4932  0.4324
O  0.9157  0.7877  0.5793
O  0.0391  0.6189  0.3696
Ca  0.5046  0.0004  0.3543
O  0.4139  0.0452  0.0757
O  0.0626  0.4844  0.5791
S  0.1893  0.3302  0.0798
S  0.0073  0.6998  0.7559
O  0.2344  0.1255  0.6334
O  0.7714  0.9264  0.3654
O  0.4819  0.1759  0.5787
O  0.5759  0.4633  0.2540
S  0.9868  0.6383  0.0804
O  0.4222  0.3093  0.2460
Ca  0.6654  0.6575  0.5155
S  0.8367  0.6263  0.5814
O  0.9230  0.3113  0.2444
O  0.1615  0.4911  0.7647